Material: CaNi4B
Method: DFT, r²SCAN
State: relaxed

Computed properties:
Calculated total energy in eV per atom: -10.656
Calculated volume in A^3/atom: 12.197
Calculated formation energy in eV per atom: -0.271

```
CaNi4B
1.0
4.986 0.000 0.000
-2.493 4.318 0.000
0.000 0.000 6.799
Ca Ni B
2 8 2
Direct
0.000 0.000 0.500
0.000 0.000 0.000
0.500 0.500 0.793
0.000 0.500 0.793
0.333 0.667 0.500
0.667 0.333 0.500
0.500 0.000 0.793
0.000 0.500 0.207
0.500 0.500 0.207
0.500 0.000 0.207
0.667 0.333 0.000
0.333 0.667 0.000
```